This record from the Materials Project describes a relaxed structure of LiTiSiO4. The functional is PBE-GGA.

extended XYZ file:
```
28
Lattice="-2.8545 -1.9433 3.3363 -3.5165 -2.1557 -4.2643 5.6226 -8.6833 -0.2470" Properties=species:S:1:pos:R:3 pbc="T T T"
O 0.9624 -9.8176 0.0516
O 0.2102 -7.0134 1.6147
O -0.9787 -5.7955 -2.1534
O -2.3253 -2.4883 1.4121
O 2.1134 -9.9505 -2.5970
O 1.6229 -7.5123 -1.6703
O 0.5211 -4.8805 -0.3321
O 0.2426 -1.7539 0.6773
O -1.8023 -8.2513 -0.8332
O -1.5255 -3.4003 -1.1473
O -4.3417 -3.7200 -1.0357
O -0.6500 -8.3793 -3.4727
O -3.7902 -6.1167 -2.0336
O 3.6093 -9.0294 -0.7755
O -2.0520 -5.6137 0.3938
O 2.1959 -8.5351 2.5011
Ti 1.1839 -5.6215 -2.2503
Ti 1.2440 -5.1175 1.5499
Ti -3.0550 -2.2511 -0.4809
Ti -0.8698 -12.5743 -1.1688
Li 1.9464 -8.0453 0.4365
Li 0.1488 -9.0587 -1.6958
Li 0.4890 -2.6886 -1.1456
Li -4.0811 -5.7719 0.0548
Si 2.8375 -8.5002 -2.1656
Si -2.5293 -9.6993 -1.2607
Si -1.1092 -4.9313 -0.7237
Si -0.6959 -2.4337 1.7999
```

Properties
The energy above the most stable polymorph in this dataset is 0.00 eV per formula unit. The formation energy comes out at -3.058 eV/atom. The calculation puts the density at 3.31 g/cm³.

This record from the Materials Project describes a relaxed structure of Na2Y4Ga4SiS11O48. The functional is PBE-GGA.

extended XYZ file:
```
210
Lattice="17.6689 -0.0006 -0.0113 -4.4174 7.6707 0.0003 -0.0153 -0.0085 23.1480" Properties=species:S:1:pos:R:3 pbc="T T T"
O 1.6567 0.2175 13.2201
O 16.7837 1.3247 13.2562
O 14.4486 1.4212 0.9622
O 0.9183 3.6025 17.4419
O 3.5355 1.1309 14.4469
O 3.7962 4.0821 12.0230
O 9.7291 1.4532 18.5324
O 13.7740 3.8305 17.4107
O 10.2407 4.8269 13.0417
O 6.2171 7.6509 21.3607
O 6.1918 7.6564 13.4646
O 13.9541 6.1441 18.6267
O 7.7643 3.6277 22.7226
O -0.5600 3.4434 6.0238
O 0.7247 6.8840 8.2470
O 9.3079 3.5074 10.6006
O 8.1069 1.3623 21.4451
O 14.4365 3.9984 3.2474
O 12.2989 1.0279 12.1262
O -1.5172 4.9882 8.0731
O 5.2147 1.1995 9.5905
O -1.6071 5.1680 17.3651
O 10.5251 5.2181 5.8990
O 9.5027 6.5288 8.2005
O 16.1253 0.3678 2.2754
O -3.5375 6.5687 9.1316
O 15.1417 2.5380 14.5874
O -1.8936 5.3741 10.7186
O -0.7196 6.6396 20.3002
O 12.7505 1.1869 21.5792
O 7.2482 0.1308 2.4286
O -1.7042 5.0599 1.7691
O 8.0063 6.6976 22.6251
O 12.6671 6.0146 6.8295
O 5.3437 1.2002 17.3708
O 9.9382 1.1548 2.3068
O 9.9854 3.5557 1.9918
O 0.9663 1.5469 16.2002
O 3.7678 6.0808 13.3260
O 15.8760 0.0997 16.1871
O 12.3818 4.1976 12.0910
O 11.6569 2.1145 0.9306
O 6.0995 7.3987 4.7128
O 13.8321 0.8119 9.5435
O 3.6830 0.9466 21.5981
O -0.7990 3.5367 22.7470
O 12.2822 1.1373 5.7366
O -2.6877 7.5049 4.4486
O 11.9800 4.0828 14.4884
O 2.5491 2.2527 0.9101
O 5.2739 3.9329 3.4502
O 11.5510 7.3614 9.2891
O 14.9145 2.3930 5.6720
O 12.1603 6.2379 4.4380
O 5.0497 0.8777 3.2917
O 12.2302 6.2245 13.3313
O 12.3334 6.1343 21.4031
O 1.0353 1.5212 18.6587
O 5.7897 2.6947 21.2182
O -0.9342 6.6217 5.8424
O 3.2561 6.3261 4.7380
O 6.1315 2.3660 11.9670
O 9.5890 1.5737 16.0949
O 12.6487 0.7395 14.5198
O 3.4324 3.9772 14.4637
O 6.9943 0.0284 16.0722
O 0.8639 3.4279 10.6777
O 10.7624 4.7613 20.1816
O 6.9866 5.0423 2.2183
O 10.5951 5.0225 22.6153
O 0.8202 3.7306 1.8536
O 14.0154 5.9646 15.8904
O 7.7513 6.3955 6.1031
O 9.5385 3.5842 17.3793
O 3.4170 1.3580 5.4892
O 4.8868 6.2040 2.5139
O 0.8687 1.3524 2.3462
O 7.1113 0.0999 18.5279
O 0.7793 6.5481 1.9457
O 15.8155 0.2703 18.6342
O 3.4464 1.2062 11.9773
O 8.2792 6.4915 13.0680
O 13.8849 6.1889 2.2710
O -0.9311 6.4974 22.7564
O 12.6267 4.0354 5.4918
O 11.5704 2.2712 17.2820
O 5.2085 4.0181 17.3838
O 8.2180 6.9220 20.1894
O 7.0311 4.8028 8.2879
O 12.3544 3.6962 21.5982
O 7.1877 5.4299 17.3933
O 3.4324 6.2133 21.4991
O 10.5145 0.2755 7.1018
O 8.2171 1.6606 4.5563
O 1.0248 6.4482 17.4069
O 9.6329 6.8642 1.9133
O 7.7989 3.8787 12.9238
O 5.3018 3.9587 9.6830
O 5.2063 6.0402 18.6488
O -0.8287 1.5590 21.3974
O -0.5830 6.8090 13.2096
O -1.1765 3.6964 20.3153
O 1.1407 6.6887 10.6584
O 1.2811 3.7697 8.2838
O 7.8828 3.6020 19.9799
O 13.7850 4.2501 0.8840
O 7.8677 1.4919 13.3541
O -0.7106 1.4997 4.6235
O 5.3954 6.3610 9.2787
O 0.7119 1.5570 9.2098
O 8.1452 3.5720 5.9734
O 2.9302 2.2883 17.3993
O 1.7297 0.4153 6.8284
O 9.7487 3.7090 8.1768
O 1.7278 4.8429 13.0585
O 1.6217 5.2387 22.7206
O 6.1871 2.8935 14.3685
O 14.7803 2.8133 21.6923
O 1.6769 5.0949 20.2472
O 7.0583 5.3892 10.6852
O 5.2210 6.1180 16.1949
O 15.0215 2.4940 12.1552
O 9.2488 1.5462 9.2519
O 16.5404 1.2573 7.0215
O 2.9026 2.6095 9.5935
O 14.0245 1.1492 17.3222
O 5.6681 1.0611 0.9358
O 6.0668 2.3563 5.5790
O 2.8474 7.5681 9.2601
O 3.7764 6.0255 7.1149
O 14.0344 1.0767 3.3757
O 14.0964 3.8656 9.2782
O 11.3628 2.6625 9.5609
O -2.7542 7.3308 21.4445
O 11.6676 2.5691 3.3643
O 9.8645 6.3391 10.6392
O 1.6003 5.3505 6.1330
O 7.7473 1.3196 6.9383
O 4.9497 4.3486 1.0608
O 3.6376 4.0784 5.7234
O 2.5615 2.8861 3.2672
O 3.1933 3.8053 21.5419
O 9.9235 6.4283 17.4413
O -0.9102 3.7385 13.3192
Y 13.2467 7.5803 19.8835
Y 13.2780 2.6275 10.8402
Y 8.8575 5.0766 18.9203
Y 4.4914 2.5920 15.8030
Y 4.4142 7.6621 14.7714
Y -0.1542 5.0659 18.7711
Y 13.2393 2.6589 15.7777
Y 13.2659 7.6021 14.9367
Y 4.5160 2.5644 22.8543
Y -0.1318 5.1493 11.8018
Y 8.7986 0.0468 19.9621
Y 8.7716 5.0136 0.7390
S -1.2923 7.2545 21.5062
S 11.7130 4.8364 13.2499
S 6.9994 2.6604 13.1533
S 11.4953 4.9332 21.4555
S -1.2499 2.1712 5.8292
S 1.4112 2.8399 9.4530
S 3.0785 5.4405 5.9242
S 15.9247 2.5248 13.3375
S 5.5374 4.8738 2.3019
S 7.5325 2.2252 5.7763
S 14.5236 4.8737 2.0174
S 5.7208 5.4278 17.4090
S 12.0714 0.1592 13.2959
S 6.2339 0.0007 17.3462
S 2.5817 0.0739 5.6503
S 6.2086 5.1412 9.4994
S 5.7724 0.2174 2.1434
S 10.0920 7.1741 9.4200
S 14.6531 0.5028 2.1220
S 11.9668 5.4081 5.6669
S 10.0977 2.2274 17.3282
S 3.1664 4.7393 13.2229
S 10.8225 2.3633 2.1486
S 3.1241 0.4191 13.2221
S 1.4326 2.2300 17.4254
S 1.6950 2.5455 2.0629
S 2.4600 5.0864 21.4796
S 9.9139 2.8659 9.4105
S 15.0203 0.0577 17.3936
S 1.3750 7.4801 9.4506
S -1.3964 2.8972 21.5330
S 6.9652 7.6521 5.9114
S 7.6915 7.5056 21.4395
Na 13.3732 2.7110 7.5012
Na 4.4118 2.5431 7.6450
Na 4.6245 2.5569 19.3185
Na 8.7310 0.2445 0.1517
Na -4.2793 7.4680 11.2909
Na 13.3012 2.7231 19.2844
Ga 8.8191 0.0034 8.0876
Ga 4.2389 2.4667 4.1505
Ga 8.7077 5.0487 7.2222
Ga 13.2343 7.6632 3.4693
Ga 4.4512 2.5731 11.0030
Ga 8.7761 5.1232 11.7785
Ga 13.4320 2.6916 4.2388
Ga 0.1024 5.1253 7.3588
Ga -0.0395 5.0620 0.5650
Ga -4.3286 7.6426 7.9168
Ga 13.2841 2.5731 22.9383
Ga 4.3922 7.6619 3.7253
Si 14.4551 5.3085 17.3202
Si -2.6166 5.1973 9.2776
Si 7.4152 2.8415 21.3286
```

Properties
The formation energy comes out at -2.321 eV/atom. The calculation puts the density at 2.90 g/cm³.

This record from the Materials Project describes a relaxed structure of Ag3S4O12F4. The functional is PBE-GGA.

extended XYZ file:
```
92
Lattice="13.3198 0.0000 0.0000 0.0000 5.4468 0.0000 0.0000 3.6044 19.9128" Properties=species:S:1:pos:R:3 pbc="T T T"
F 8.6914 3.8461 2.8913
F 9.7745 3.0248 11.5638
F 10.2041 2.7319 5.9624
F 3.5442 4.5171 3.9940
F 9.7755 4.5341 15.9188
F 5.1109 3.2960 6.9778
F 11.2882 5.6483 12.8477
F 1.5490 5.0982 16.9342
F 2.0315 3.4029 7.0651
F 10.2051 1.2226 1.6073
F 8.2089 5.7552 12.9350
F 4.6284 5.2051 17.0215
F 3.1147 7.8287 18.3055
F 11.7708 3.9530 2.9786
F 3.5452 6.0265 8.3491
F 3.1157 6.3193 13.9504
Ag 8.4623 5.6833 8.8458
Ag 5.7600 1.3023 1.0054
Ag 7.5597 7.7489 18.9075
Ag 1.8024 1.5657 1.1107
Ag 6.4321 2.8007 14.7125
Ag 12.4199 5.9467 8.9511
Ag 4.8575 3.3679 11.0671
Ag 11.5174 7.4855 18.8022
Ag 0.2278 0.9985 4.7561
Ag 6.8877 6.2506 5.2003
Ag 0.8999 3.1045 10.9618
Ag 13.0920 8.0527 15.1568
O 10.5038 4.5112 9.8160
O 3.9124 6.6487 10.6494
O 0.6596 2.9792 2.9106
O 6.6587 5.6638 18.2257
O 1.6490 6.6739 9.6693
O 2.8356 3.1014 13.1008
O 13.3186 5.1896 11.6436
O 3.8440 2.7378 0.1404
O 9.4758 6.3134 19.7724
O 6.0002 4.7814 12.8671
O 8.3089 0.5751 0.2871
O 0.3452 5.4271 2.7421
O 6.7738 3.0965 4.1410
O 9.4954 7.7520 16.7684
O 2.3813 6.3072 5.1250
O 6.3147 7.2293 12.6985
O 1.9425 7.9277 15.3360
O 6.7952 5.3295 3.1331
O 12.6601 6.0721 17.0022
O 13.1845 7.1317 13.0895
O 10.5723 4.2048 19.2198
O 11.3772 1.1235 4.5768
O 2.8159 4.5400 10.0968
O 10.4842 5.9498 6.8120
O 6.6611 3.3874 1.6872
O 6.3413 3.2599 9.0585
O 9.0412 0.9418 4.8314
O 4.7173 6.1255 5.3796
O 2.7474 4.8465 0.6930
O 7.3195 4.2699 7.0458
O 6.5246 3.7217 16.7797
O 6.5460 5.9547 15.7719
O 3.8243 1.2992 3.1444
O 12.9746 3.6241 17.1707
O 6.9785 5.7914 10.8543
O 13.2059 4.8987 14.0974
O 4.2786 8.1094 15.0814
O 13.0012 3.9892 0.8979
O 9.4073 2.4026 9.2634
O 8.6024 2.9257 14.5332
O 0.3186 5.0620 19.0150
O 5.0109 8.4761 19.6257
O 7.0051 1.8219 7.2143
O 11.6708 2.3773 10.2436
O 10.9384 2.7440 14.7878
O 0.1139 4.1525 5.8154
O 0.0012 3.8616 8.2693
O 0.1353 1.9195 6.8233
S 12.8786 5.6870 12.9401
S 0.4412 3.3642 6.9727
S 0.0974 4.9749 17.5914
S 10.3895 3.0745 10.0890
S 7.1010 3.8848 2.9837
S 6.7573 5.8785 12.2779
S 9.6909 2.9889 15.5161
S 9.5902 1.2723 0.1326
S 3.0311 7.8645 14.3532
S 3.6288 6.0623 4.3968
S 13.2224 4.0763 2.3215
S 6.5625 3.1728 7.6349
S 10.2887 1.1867 5.5596
S 3.7296 7.7789 19.7802
S 6.2187 5.1664 16.9291
S 2.9303 5.9767 9.8238
```

Properties
The formation energy comes out at -1.640 eV/atom. The calculation puts the density at 3.31 g/cm³.

This record from the Materials Project describes a relaxed structure of NdFeGe2. The functional is PBE-GGA.

extended XYZ file:
```
8
Lattice="5.5189 6.2749 -1.2130 -5.7931 -5.3491 -3.0218 -3.1283 2.9138 0.8395" Properties=species:S:1:pos:R:3 pbc="T T T"
Nd 3.5456 5.7792 -1.1936
Nd -6.9481 -1.9396 -2.2017
Ge 0.3373 5.5467 -1.0367
Ge -3.0098 2.1072 -1.5720
Ge -3.7399 -1.7071 -2.3586
Ge -0.3927 1.7324 -1.8233
Fe -4.6215 0.4512 -1.8297
Fe 1.2189 3.3884 -1.5656
```

Properties
The formation energy comes out at -0.498 eV/atom. The calculation puts the density at 7.43 g/cm³.

This record from the Materials Project describes a relaxed structure of Pb2O3. The functional is PBE-GGA.

extended XYZ file:
```
10
Lattice="4.8938 0.0000 0.0000 0.0000 4.8239 0.0000 0.0000 0.0833 7.0322" Properties=species:S:1:pos:R:3 pbc="T T T"
O 3.6703 1.1585 2.0704
O 3.6703 3.6954 6.7532
O 1.2234 3.7487 4.9618
O 3.6703 1.2963 5.0340
O 1.2234 3.6109 1.9982
O 1.2234 1.2118 0.2790
Pb 3.6703 3.7073 4.2689
Pb 1.2234 3.6996 6.9943
Pb 3.6703 1.2076 0.0379
Pb 1.2234 1.1999 2.7633
```

Properties
The formation energy comes out at -1.266 eV/atom. The calculation puts the density at 9.25 g/cm³.

This record from the Materials Project describes a relaxed structure of Mg14MnSi. The functional is PBE-GGA.

extended XYZ file:
```
16
Lattice="6.2073 0.0000 0.0000 -3.1037 5.3757 0.0000 0.0000 0.0000 10.2099" Properties=species:S:1:pos:R:3 pbc="T T T"
Si 0.0000 1.7919 6.3812
Mg 3.1037 1.7870 1.2762
Mg 3.1037 3.5838 3.8111
Mg 4.6901 0.9159 3.8195
Mg 1.5590 4.4756 6.3812
Mg -1.5590 4.4756 6.3812
Mg 0.0000 3.5439 8.9428
Mg -1.5476 4.4822 1.2762
Mg 3.1037 3.5838 8.9512
Mg 1.5476 4.4822 1.2762
Mg 0.0000 3.5439 3.8195
Mg 1.5172 0.9159 3.8195
Mg 3.1037 1.8002 6.3812
Mg 4.6901 0.9159 8.9428
Mg 1.5172 0.9159 8.9428
Mn 0.0000 1.7919 1.2762
```

Properties
The energy above the most stable polymorph in this dataset is 0.13 eV per formula unit. The formation energy comes out at 0.074 eV/atom. The calculation puts the density at 2.06 g/cm³.

This record from the Materials Project describes a relaxed structure of HfMg6Mn. The functional is PBE-GGA.

extended XYZ file:
```
16
Lattice="-1.3335 -0.7468 4.7475 3.4447 -5.0755 0.1692 8.6780 6.0024 3.3817" Properties=species:S:1:pos:R:3 pbc="T T T"
Hf 5.1685 3.6627 4.6477
Hf 2.5518 -1.8762 3.0414
Mg 7.6635 -0.2706 2.1100
Mg 8.8591 2.3985 2.8657
Mg 5.9618 2.2368 2.0265
Mg 3.8539 0.8689 3.8389
Mg 3.3451 -3.3022 0.4202
Mg 5.5577 -1.6416 3.9226
Mg 2.7977 1.9351 1.0902
Mg 7.2048 4.9834 2.8076
Mg 8.1744 3.8973 5.5289
Mg 9.9152 1.3323 5.6144
Mg 1.6022 -0.7340 0.3346
Mg 4.5881 -0.5556 1.2014
Mn 6.7878 1.0537 4.6921
Mn 0.7265 0.5903 2.9167
```

Properties
The energy above the most stable polymorph in this dataset is 0.27 eV per formula unit. The formation energy comes out at 0.188 eV/atom. The calculation puts the density at 3.71 g/cm³.